[1]
DFT (GGA-PBE) results for crystalline Ba4BiPb3O12 at its relaxed geometry.

ΔE to the lowest computed polymorph: 0 meV per atom
SG: No. 10
DFT total energy: -5.84 eV per atom
formation energy from the elements: -207.5 kJ/mol of atoms
calculated density: 7819 kg/m³

The structure in CIF format:
```
data_Ba4BiPb3O12
_chemical_formula_sum 'Ba4 Bi1 Pb3 O12'
_symmetry_space_group_name_H-M 'P 1'
_symmetry_Int_Tables_number 1
_cell_length_a 6.156
_cell_length_b 6.224
_cell_length_c 8.713
_cell_angle_alpha 89.98
_cell_angle_beta 90.00
_cell_angle_gamma 90.00
loop_
_symmetry_equiv_pos_as_xyz
'x,y,z'
loop_
_atom_site_label
_atom_site_type_symbol
_atom_site_fract_x
_atom_site_fract_y
_atom_site_fract_z
_atom_site_occupancy
Ba1 Ba 0.000 0.505 0.753 1
Ba2 Ba 0.500 0.006 0.247 1
Ba3 Ba 0.500 0.994 0.753 1
Ba4 Ba 0.000 0.495 0.247 1
Bi1 Bi 0.500 0.500 0.500 1
Pb1 Pb 0.000 0.000 0.500 1
Pb2 Pb 0.500 0.500 0.000 1
Pb3 Pb 0.000 0.000 0.000 1
O1 O 0.000 0.065 0.752 1
O2 O 0.500 0.565 0.251 1
O3 O 0.500 0.435 0.749 1
O4 O 0.000 0.935 0.248 1
O5 O 0.251 0.252 0.465 1
O6 O 0.749 0.749 0.962 1
O7 O 0.251 0.748 0.535 1
O8 O 0.749 0.251 0.038 1
O9 O 0.251 0.749 0.962 1
O10 O 0.749 0.252 0.465 1
O11 O 0.251 0.251 0.038 1
O12 O 0.749 0.748 0.535 1
```



[2]
DFT (GGA-PBE) results for crystalline Ba5BiPb4O15 at its relaxed geometry.

SG: No. 12
DFT total energy: -5.83 eV per atom
formation energy from the elements: -206.5 kJ/mol of atoms
calculated density: 7863 kg/m³

The structure in CIF format:
```
data_Ba5BiPb4O15
_chemical_formula_sum 'Ba10 Bi2 Pb8 O30'
_symmetry_space_group_name_H-M 'P 1'
_symmetry_Int_Tables_number 1
_cell_length_a 22.137
_cell_length_b 22.137
_cell_length_c 6.222
_cell_angle_alpha 81.94
_cell_angle_beta 81.94
_cell_angle_gamma 15.96
loop_
_symmetry_equiv_pos_as_xyz
'x,y,z'
loop_
_atom_site_label
_atom_site_type_symbol
_atom_site_fract_x
_atom_site_fract_y
_atom_site_fract_z
_atom_site_occupancy
Ba1 Ba 0.351 0.351 0.145 1
Ba2 Ba 0.550 0.550 0.943 1
Ba3 Ba 0.950 0.950 0.543 1
Ba4 Ba 0.750 0.750 0.748 1
Ba5 Ba 0.149 0.149 0.350 1
Ba6 Ba 0.450 0.450 0.057 1
Ba7 Ba 0.649 0.649 0.855 1
Ba8 Ba 0.050 0.050 0.457 1
Ba9 Ba 0.851 0.851 0.650 1
Ba10 Ba 0.250 0.250 0.252 1
Bi1 Bi 0.300 0.300 0.699 1
Bi2 Bi 0.700 0.700 0.301 1
Pb1 Pb 0.100 0.100 0.902 1
Pb2 Pb 0.500 0.500 0.500 1
Pb3 Pb 0.900 0.900 0.098 1
Pb4 Pb 0.401 0.401 0.601 1
Pb5 Pb 0.800 0.800 0.200 1
Pb6 Pb 0.200 0.200 0.800 1
Pb7 Pb 0.599 0.599 0.399 1
Pb8 Pb 0.000 0.000 0.000 1
O1 O 0.142 0.642 0.857 1
O2 O 0.344 0.844 0.656 1
O3 O 0.742 0.242 0.258 1
O4 O 0.540 0.044 0.461 1
O5 O 0.942 0.446 0.060 1
O6 O 0.156 0.656 0.344 1
O7 O 0.358 0.858 0.143 1
O8 O 0.758 0.258 0.742 1
O9 O 0.554 0.058 0.940 1
O10 O 0.956 0.460 0.539 1
O11 O 0.642 0.142 0.857 1
O12 O 0.844 0.344 0.656 1
O13 O 0.242 0.742 0.258 1
O14 O 0.044 0.540 0.461 1
O15 O 0.446 0.942 0.060 1
O16 O 0.656 0.156 0.344 1
O17 O 0.858 0.358 0.143 1
O18 O 0.258 0.758 0.742 1
O19 O 0.058 0.554 0.940 1
O20 O 0.460 0.956 0.539 1
O21 O 0.349 0.349 0.589 1
O22 O 0.750 0.750 0.190 1
O23 O 0.150 0.150 0.787 1
O24 O 0.550 0.550 0.379 1
O25 O 0.950 0.950 0.980 1
O26 O 0.250 0.250 0.810 1
O27 O 0.651 0.651 0.411 1
O28 O 0.050 0.050 0.020 1
O29 O 0.450 0.450 0.621 1
O30 O 0.850 0.850 0.213 1
```